Material: Ba4Cu11Te8S2
Method: DFT, PBE
State: relaxed

POSCAR file:
```
Ba4Cu11Te8S2
1.0
9.680 0.000 0.000
0.000 4.356 0.000
-0.005 0.000 14.241
Ba Cu Te S
4 11 8 2
Direct
0.000 0.000 0.000
0.047 0.000 0.324
0.499 0.000 0.822
0.547 0.000 0.507
0.045 0.500 0.582
0.132 0.000 0.758
0.274 0.500 0.178
0.274 0.500 0.677
0.404 0.000 0.256
0.498 0.500 0.074
0.547 0.500 0.253
0.641 0.000 0.072
0.771 0.500 0.150
0.777 0.500 0.660
0.904 0.000 0.572
0.198 0.000 0.572
0.209 0.500 0.856
0.330 0.500 0.363
0.345 0.000 0.071
0.700 0.000 0.258
0.716 0.500 0.965
0.832 0.500 0.467
0.854 0.000 0.753
0.022 0.500 0.164
0.521 0.500 0.662
```

## Properties
MP2020-corrected energy in eV/atom: -4.1428
SG: Pm

***

Material: Ca2TeO5
Method: DFT, PBE
State: relaxed

POSCAR file:
```
Ca2TeO5
1.0
-8.417 2.449 2.886
8.417 -2.449 2.886
8.417 2.449 -2.886
Ca Te O
4 2 10
Direct
0.088 0.158 0.245
0.088 0.342 0.430
0.912 0.658 0.570
0.912 0.842 0.755
0.540 0.040 0.500
0.540 0.540 0.000
0.021 0.006 0.515
0.043 0.243 0.713
0.043 0.830 0.300
0.417 0.658 0.966
0.417 0.951 0.258
0.492 0.506 0.485
0.530 0.330 0.287
0.530 0.743 0.700
0.692 0.158 0.742
0.692 0.451 0.034
```

## Properties
MP2020-corrected energy in eV/atom: -6.3366
SG: Ima2

***

Material: TbCrSe3
Method: DFT, PBE
State: relaxed

POSCAR file:
```
TbCrSe3
1.0
8.222 0.000 0.000
0.000 3.903 0.000
0.000 0.000 13.351
Tb Cr Se
4 4 12
Direct
0.079 0.250 0.172
0.421 0.750 0.672
0.579 0.250 0.328
0.921 0.750 0.828
0.164 0.750 0.451
0.336 0.250 0.951
0.664 0.750 0.049
0.836 0.250 0.549
0.008 0.750 0.610
0.153 0.750 0.008
0.199 0.250 0.784
0.301 0.750 0.284
0.347 0.250 0.508
0.492 0.250 0.110
0.508 0.750 0.890
0.653 0.750 0.492
0.699 0.250 0.716
0.801 0.750 0.216
0.847 0.250 0.992
0.992 0.250 0.390
```

## Properties
MP2020-corrected energy in eV/atom: -6.4052
SG: Pnma

***

Material: Tb4Fe29Si5
Method: DFT, PBE
State: relaxed

POSCAR file:
```
Tb4Fe29Si5
1.0
4.769 -4.196 0.000
4.769 4.196 0.000
-2.079 0.000 12.477
Tb Fe Si
4 29 5
Direct
0.157 0.157 0.421
0.158 0.158 0.921
0.842 0.842 0.079
0.843 0.843 0.579
0.159 0.159 0.175
0.159 0.159 0.674
0.159 0.650 0.421
0.159 0.651 0.921
0.203 0.499 0.602
0.203 0.500 0.101
0.204 0.795 0.750
0.205 0.796 0.250
0.349 0.841 0.079
0.350 0.841 0.579
0.403 0.403 0.798
0.405 0.405 0.298
0.499 0.203 0.602
0.500 0.203 0.101
0.500 0.500 0.000
0.500 0.797 0.899
0.501 0.797 0.398
0.595 0.595 0.702
0.597 0.597 0.202
0.650 0.159 0.421
0.651 0.159 0.921
0.795 0.204 0.750
0.796 0.205 0.250
0.797 0.500 0.899
0.797 0.501 0.398
0.841 0.349 0.079
0.841 0.350 0.579
0.841 0.841 0.326
0.841 0.841 0.825
0.001 0.501 0.250
0.499 0.999 0.750
0.500 0.500 0.500
0.501 0.001 0.250
0.999 0.499 0.750
```

## Properties
MP2020-corrected energy in eV/atom: -7.8735
SG: C2/m

***

Material: Dy5Bi11O24
Method: DFT, PBE
State: relaxed

POSCAR file:
```
Dy5Bi11O24
1.0
9.556 0.000 0.000
-3.187 9.010 0.000
-0.003 -0.008 15.635
Dy Bi O
10 22 48
Direct
0.000 0.000 0.000
0.002 0.000 0.499
0.157 0.405 0.375
0.247 0.749 0.749
0.249 0.750 0.253
0.354 0.143 0.393
0.496 0.498 0.498
0.498 0.497 0.001
0.747 0.249 0.252
0.749 0.249 0.750
0.019 0.986 0.268
0.107 0.389 0.639
0.138 0.359 0.111
0.155 0.406 0.875
0.234 0.764 0.985
0.264 0.731 0.514
0.341 0.091 0.127
0.344 0.092 0.623
0.390 0.108 0.859
0.479 0.512 0.236
0.513 0.483 0.765
0.608 0.888 0.141
0.639 0.857 0.609
0.654 0.904 0.875
0.656 0.908 0.375
0.731 0.263 0.482
0.764 0.233 0.017
0.841 0.590 0.624
0.842 0.594 0.126
0.857 0.640 0.891
0.890 0.606 0.359
0.983 0.014 0.733
0.008 0.742 0.228
0.011 0.242 0.977
0.084 0.098 0.133
0.092 0.628 0.860
0.096 0.644 0.634
0.113 0.156 0.387
0.123 0.154 0.609
0.152 0.652 0.383
0.207 0.974 0.755
0.218 0.496 0.239
0.231 0.965 0.490
0.245 0.470 0.511
0.251 0.031 0.984
0.274 0.540 0.008
0.277 0.998 0.274
0.288 0.524 0.743
0.346 0.833 0.120
0.376 0.342 0.890
0.393 0.347 0.116
0.398 0.392 0.367
0.398 0.851 0.865
0.404 0.869 0.641
0.481 0.254 0.518
0.492 0.758 0.275
0.507 0.240 0.726
0.508 0.741 0.476
0.580 0.595 0.631
0.587 0.132 0.361
0.597 0.145 0.135
0.600 0.648 0.885
0.619 0.653 0.110
0.650 0.164 0.884
0.708 0.476 0.259
0.716 0.000 0.733
0.724 0.458 0.996
0.744 0.527 0.480
0.751 0.968 0.018
0.775 0.040 0.506
0.779 0.500 0.767
0.787 0.024 0.245
0.847 0.334 0.618
0.878 0.844 0.390
0.897 0.848 0.615
0.903 0.371 0.142
0.905 0.351 0.365
0.914 0.900 0.867
0.989 0.757 0.024
0.992 0.262 0.773
```

## Properties
MP2020-corrected energy in eV/atom: -6.9586
SG: P1

***

Material: ZnNiSb
Method: DFT, PBE
State: relaxed

POSCAR file:
```
ZnNiSb
1.0
0.000 2.973 2.973
2.973 0.000 2.973
2.973 2.973 0.000
Zn Ni Sb
1 1 1
Direct
0.000 0.000 0.000
0.750 0.750 0.750
0.500 0.500 0.500
```

## Properties
MP2020-corrected energy in eV/atom: -4.0185
SG: F-43m

***

Material: Na2CaSiSnS2O12
Method: DFT, PBE
State: relaxed

POSCAR file:
```
Na2CaSiSnS2O12
1.0
7.954 -4.600 0.000
7.954 4.600 0.000
-0.440 0.000 22.949
Na Ca Si Sn S O
12 6 6 6 12 72
Direct
0.005 0.645 0.095
0.005 0.995 0.500
0.309 0.331 0.167
0.316 0.959 0.427
0.331 0.309 0.667
0.348 0.989 0.755
0.628 0.688 0.833
0.645 0.005 0.595
0.688 0.628 0.333
0.959 0.316 0.927
0.989 0.348 0.255
0.995 0.005 0.000
0.306 0.324 0.310
0.324 0.306 0.810
0.637 0.656 0.976
0.656 0.637 0.476
0.983 0.988 0.143
0.988 0.983 0.643
0.012 0.301 0.403
0.301 0.012 0.903
0.351 0.954 0.573
0.688 0.973 0.739
0.954 0.351 0.073
0.973 0.688 0.239
0.300 0.306 0.513
0.306 0.300 0.013
0.648 0.660 0.679
0.660 0.648 0.179
0.973 0.978 0.846
0.978 0.973 0.346
0.027 0.618 0.915
0.287 0.689 0.746
0.297 0.615 0.417
0.297 0.958 0.248
0.362 0.628 0.081
0.615 0.297 0.917
0.618 0.027 0.415
0.628 0.362 0.581
0.630 0.956 0.080
0.689 0.287 0.246
0.956 0.630 0.580
0.958 0.297 0.748
0.005 0.792 0.912
0.018 0.110 0.406
0.096 0.334 0.752
0.099 0.302 0.344
0.110 0.018 0.906
0.120 0.517 0.865
0.123 0.545 0.972
0.129 0.497 0.243
0.132 0.480 0.577
0.134 0.783 0.416
0.141 0.354 0.078
0.148 0.266 0.460
0.164 0.988 0.579
0.182 0.990 0.199
0.187 0.767 0.084
0.194 0.769 0.693
0.205 0.799 0.799
0.224 0.939 0.304
0.266 0.148 0.960
0.291 0.526 0.471
0.302 0.099 0.844
0.310 0.522 0.752
0.312 0.521 0.364
0.334 0.096 0.252
0.354 0.141 0.578
0.359 0.466 0.078
0.435 0.652 0.421
0.441 0.649 0.030
0.442 0.865 0.514
0.456 0.828 0.911
0.457 0.679 0.744
0.458 0.621 0.137
0.459 0.792 0.240
0.466 0.359 0.578
0.477 0.856 0.633
0.480 0.132 0.077
0.497 0.129 0.743
0.517 0.120 0.365
0.521 0.312 0.864
0.522 0.310 0.252
0.526 0.291 0.971
0.545 0.123 0.472
0.601 0.882 0.134
0.621 0.458 0.637
0.631 0.861 0.417
0.637 0.862 0.028
0.649 0.441 0.530
0.652 0.435 0.921
0.667 0.798 0.744
0.679 0.457 0.244
0.767 0.187 0.584
0.769 0.194 0.193
0.775 0.971 0.680
0.783 0.134 0.916
0.784 0.966 0.084
0.792 0.005 0.412
0.792 0.459 0.740
0.798 0.667 0.244
0.799 0.205 0.299
0.808 0.954 0.800
0.828 0.456 0.411
0.856 0.477 0.133
0.861 0.631 0.917
0.862 0.637 0.528
0.865 0.442 0.014
0.882 0.601 0.634
0.939 0.224 0.804
0.954 0.808 0.300
0.966 0.784 0.584
0.971 0.775 0.180
0.988 0.164 0.079
0.990 0.182 0.699
```

## Properties
MP2020-corrected energy in eV/atom: -6.6382
SG: Cc

***

Material: MgAl2
Method: DFT, PBE
State: relaxed

POSCAR file:
```
MgAl2
1.0
3.026 0.000 0.000
-1.513 2.620 0.000
0.000 0.000 7.036
Mg Al
1 2
Direct
0.000 0.000 0.000
0.333 0.667 0.653
0.667 0.333 0.347
```

## Properties
SG: P-3m1

***

Material: MnBi2Se4
Method: DFT, PBE
State: relaxed

POSCAR file:
```
MnBi2Se4
1.0
6.675 -2.057 0.000
6.675 2.057 0.000
-6.647 0.000 13.890
Mn Bi Se
2 4 8
Direct
0.000 0.000 0.000
0.500 0.500 0.500
0.154 0.154 0.371
0.211 0.211 0.862
0.789 0.789 0.138
0.846 0.846 0.629
0.153 0.153 0.556
0.159 0.159 0.172
0.387 0.387 0.044
0.490 0.490 0.322
0.510 0.510 0.678
0.613 0.613 0.956
0.841 0.841 0.828
0.847 0.847 0.444
```

## Properties
MP2020-corrected energy in eV/atom: -5.0716
SG: C2/m

***

Material: Tm6Ga17Pt5
Method: DFT, PBE
State: relaxed

POSCAR file:
```
Tm6Ga17Pt5
1.0
7.837 -2.120 0.000
7.837 2.120 0.000
-3.327 0.000 15.344
Tm Ga Pt
6 17 5
Direct
0.089 0.089 0.409
0.250 0.250 0.253
0.402 0.402 0.095
0.598 0.598 0.905
0.750 0.750 0.747
0.911 0.911 0.591
0.000 0.000 0.000
0.040 0.040 0.177
0.107 0.107 0.768
0.178 0.178 0.040
0.238 0.238 0.892
0.270 0.270 0.604
0.325 0.325 0.457
0.396 0.396 0.735
0.457 0.457 0.325
0.543 0.543 0.675
0.604 0.604 0.265
0.675 0.675 0.543
0.730 0.730 0.396
0.762 0.762 0.108
0.822 0.822 0.960
0.893 0.893 0.232
0.960 0.960 0.823
0.105 0.105 0.604
0.405 0.405 0.903
0.500 0.500 0.500
0.595 0.595 0.097
0.895 0.895 0.396
```

## Properties
SG: C2/m

***

Material: FeMo6Rh3N2
Method: DFT, PBE
State: relaxed

POSCAR file:
```
FeMo6Rh3N2
1.0
6.796 0.000 0.000
0.000 6.796 0.000
-0.009 0.000 6.811
Fe Mo Rh N
2 12 6 4
Direct
0.183 0.000 0.062
0.817 0.500 0.938
0.050 0.939 0.451
0.123 0.616 0.202
0.199 0.359 0.877
0.297 0.267 0.374
0.371 0.016 0.708
0.459 0.686 0.950
0.541 0.186 0.050
0.629 0.516 0.292
0.703 0.767 0.626
0.801 0.859 0.123
0.877 0.116 0.798
0.950 0.439 0.549
0.059 0.752 0.821
0.312 0.626 0.564
0.431 0.876 0.301
0.569 0.376 0.699
0.688 0.126 0.436
0.941 0.252 0.179
0.124 0.190 0.623
0.374 0.440 0.126
0.626 0.940 0.874
0.876 0.690 0.377
```

## Properties
MP2020-corrected energy in eV/atom: -9.6291
SG: P2_1

***

Results for calculated volume: 24.02 14.87 21.42 13.14 16.83 17.52 14.73 18.59 27.24 18.21 13.11 (in Å³ per atom, following the order of the records).
Results for formation enthalpy at 0 K: -695 -2350 -1450 -208 -2344 -296 -2336 44 -654 -693 -270 (in meV per atom, following the order of the records).